(1)
A geometry-optimized Zr3PbO4F6 structure, computed with GGA-PBE.

a = 11.089 Å, b = 11.089 Å, c = 11.089 Å
α = 90.00°, β = 90.00°, γ = 90.00°
Space group Fm-3m (No. 225)
Symmetry-distinct sites (fractional):
Zr: 0.000 0.000 0.223 x24
Pb: 0.250 0.250 0.250 x8
O: 0.116 0.116 0.116 x32
F: 0.000 0.164 0.336 x48

Calculated values
- ΔH_f (0 K): -51.28 eV per formula unit
- Energy with MP2020 corrections: -7.994 eV per atom

(2)
A geometry-optimized PrOF structure, computed with GGA-PBE.

a = 5.706 Å, b = 5.706 Å, c = 5.706 Å
α = 90.00°, β = 90.00°, γ = 90.00°
Space group F-43m (No. 216)
Symmetry-distinct sites (fractional):
Pr: 0.000 0.000 0.000 x4
O: 0.250 0.250 0.750 x4
F: 0.250 0.250 0.250 x4

Calculated values
- ΔH_f (0 K): -12.23 eV per formula unit
- Largest piezoelectric modulus: 1.0 C/m²
- Energy with MP2020 corrections: -7.958 eV per atom

(3)
A geometry-optimized PrOF structure, computed with GGA-PBE.

a = 4.0140 Å, b = 4.0140 Å, c = 20.1244 Å
α = 90.00°, β = 90.00°, γ = 120.00°
Space group R-3m (No. 166, hexagonal axes)
Symmetry-distinct sites (fractional):
Pr: 0.0000 0.0000 0.2415 x6
O: 0.0000 0.0000 0.1223 x6
F: 0.0000 0.0000 0.3706 x6

Calculated values
- ΔH_f (0 K): -12.39 eV per formula unit
- Energy with MP2020 corrections: -8.011 eV per atom

(4)
A geometry-optimized Pr6S3O2F8 structure, computed with GGA-PBE.

a = 13.717 Å, b = 3.919 Å, c = 13.817 Å
α = 90.00°, β = 119.71°, γ = 90.00°
Space group Pm (No. 6)
Symmetry-distinct sites (fractional):
Pr: 0.000 0.000 0.000 x1
Pr: 0.045 0.500 0.763 x1
Pr: 0.139 0.500 0.520 x1
Pr: 0.229 0.500 0.294 x1
Pr: 0.337 0.000 0.829 x1
Pr: 0.420 0.000 0.580 x1
Pr: 0.518 0.000 0.343 x1
Pr: 0.574 0.500 0.110 x1
Pr: 0.670 0.000 0.917 x1
Pr: 0.755 0.000 0.659 x1
Pr: 0.807 0.500 0.454 x1
Pr: 0.884 0.500 0.196 x1
S: 0.010 0.000 0.585 x1
S: 0.084 0.000 0.334 x1
S: 0.469 0.500 0.775 x1
S: 0.558 0.500 0.525 x1
S: 0.754 0.000 0.246 x1
S: 0.816 0.500 0.873 x1
O: 0.299 0.500 0.491 x1
O: 0.698 0.500 0.035 x1
O: 0.715 0.000 0.469 x1
O: 0.850 0.500 0.645 x1
F: 0.030 0.500 0.127 x1
F: 0.082 0.500 0.959 x1
F: 0.176 0.000 0.853 x1
F: 0.184 0.000 0.164 x1
F: 0.214 0.500 0.734 x1
F: 0.260 0.000 0.623 x1
F: 0.352 0.000 0.374 x1
F: 0.378 0.500 0.952 x1
F: 0.388 0.500 0.260 x1
F: 0.488 0.000 0.152 x1
F: 0.529 0.000 0.984 x1
F: 0.603 0.500 0.302 x1
F: 0.616 0.000 0.723 x1
F: 0.872 0.000 0.080 x1
F: 0.944 0.500 0.390 x1
F: 0.965 0.000 0.809 x1

Calculated values
- ΔH_f (0 K): -72.27 eV per formula unit
- Energy with MP2020 corrections: -7.294 eV per atom